## Na2HfZrSi2SO12 (PBE)

Data for an optimized crystal structure of Na2HfZrSi2SO12.

ΔH_f (0 K) (meV per atom): -3013
M_tot (μB/f.u.): 0.00

Unit cell a=9.0985 b=9.0974 c=23.1189 alpha=89.83 beta=90.18 gamma=119.93
Atoms (fractional coordinates):
Na 0.9917 0.6253 0.2547
Na 0.3754 0.0074 0.7555
Na 0.6584 0.9586 0.5881
Na 0.0428 0.3413 0.0879
Na 0.3252 0.2908 0.9218
Na 0.7091 0.6740 0.4218
Na 0.0173 0.9841 0.5013
Na 0.0165 0.9826 0.0011
Na 0.6844 0.3172 0.8347
Na 0.6826 0.3158 0.3342
Na 0.3506 0.6506 0.1676
Na 0.3494 0.6492 0.6682
Hf 0.0034 0.0152 0.8539
Hf 0.6701 0.3483 0.1857
Hf 0.6655 0.3328 0.9796
Hf 0.3175 0.6627 0.0197
Hf 0.3362 0.6809 0.5199
Hf 0.3340 0.6679 0.8145
Zr 0.9838 0.9964 0.3531
Zr 0.9991 0.9994 0.6477
Zr 0.0009 0.0006 0.1461
Zr 0.6503 0.3295 0.6869
Zr 0.6676 0.3342 0.4804
Zr 0.3324 0.6661 0.3134
Si 0.7034 0.7080 0.2497
Si 0.9969 0.2940 0.2472
Si 0.2886 0.2970 0.7514
Si 0.7057 0.9995 0.7490
Si 0.3693 0.0409 0.5835
Si 0.6642 0.6279 0.5811
Si 0.9550 0.6267 0.0828
Si 0.3757 0.3367 0.0806
Si 0.0379 0.3780 0.9169
Si 0.3320 0.9593 0.9148
Si 0.6221 0.9619 0.4174
Si 0.0405 0.6683 0.4149
S 0.2943 0.0045 0.2504
S 0.9993 0.7082 0.7520
S 0.9611 0.3373 0.5841
S 0.6622 0.0429 0.0832
S 0.6241 0.6689 0.9174
S 0.3304 0.3750 0.4179
O 0.2169 0.0274 0.3024
O 0.8216 0.7883 0.3081
O 0.9864 0.1782 0.3032
O 0.2052 0.1762 0.8089
O 0.9781 0.7905 0.8039
O 0.8236 0.0094 0.8041
O 0.7887 0.9750 0.6892
O 0.1725 0.1938 0.6957
O 0.0252 0.8140 0.6995
O 0.8095 0.8277 0.1951
O 0.0223 0.2092 0.1881
O 0.1875 0.9799 0.1982
O 0.8831 0.3603 0.6361
O 0.4882 0.1219 0.6418
O 0.6536 0.5113 0.6368
O 0.8740 0.5090 0.1412
O 0.6408 0.1214 0.1356
O 0.4906 0.3462 0.1366
O 0.4609 0.3124 0.0216
O 0.8366 0.5211 0.0281
O 0.6848 0.1491 0.0312
O 0.4749 0.1602 0.5288
O 0.6898 0.5439 0.5219
O 0.8547 0.3128 0.5319
O 0.5453 0.6919 0.9696
O 0.1577 0.4593 0.9750
O 0.3210 0.8424 0.9705
O 0.5387 0.8431 0.4753
O 0.3109 0.4572 0.4701
O 0.1563 0.6765 0.4704
O 0.1239 0.6444 0.3552
O 0.5064 0.8578 0.3619
O 0.3536 0.4799 0.3655
O 0.1429 0.4967 0.8622
O 0.3571 0.8747 0.8558
O 0.5173 0.6439 0.8654
O 0.0254 0.8414 0.4124
O 0.8087 0.9727 0.4124
O 0.1841 0.2042 0.4123
O 0.0257 0.1905 0.9108
O 0.1591 0.9757 0.9113
O 0.7962 0.8148 0.9104
O 0.9698 0.1776 0.5878
O 0.1816 0.0191 0.5886
O 0.8249 0.8235 0.5870
O 0.9779 0.8154 0.0876
O 0.8222 0.0344 0.0866
O 0.1793 0.1754 0.0862
O 0.6900 0.1724 0.7460
O 0.4752 0.3075 0.7459
O 0.8536 0.5376 0.7458
O 0.6919 0.5216 0.2433
O 0.8236 0.3085 0.2440
O 0.4667 0.1507 0.2430
O 0.6330 0.5090 0.9216
O 0.8494 0.3551 0.9226
O 0.4931 0.1553 0.9212
O 0.6453 0.1503 0.4216
O 0.4902 0.3668 0.4214
O 0.8444 0.5076 0.4202
O 0.3599 0.5098 0.0774
O 0.1423 0.6390 0.0769
O 0.5158 0.8706 0.0766
O 0.3576 0.8545 0.5773
O 0.4908 0.6424 0.5780
O 0.1333 0.4834 0.5769
O 0.3033 0.8450 0.2539
O 0.5155 0.6859 0.2545
O 0.1577 0.4897 0.2529
O 0.3117 0.4852 0.7569
O 0.1592 0.6997 0.7566
O 0.5101 0.8386 0.7554